The following is a DFT calculation (GGA-PBE) of a relaxed MgGa2 crystal.

It has space group P4_2/mnm (No. 136), with a = 5.498 Å, b = 5.498 Å, c = 5.123 Å, α = 90.00°, β = 90.00° and γ = 90.00°. The inequivalent atoms are Mg at (0.000, 0.000, 0.000) and Ga at (0.160, 0.160, 0.500).

The total magnetization is 0.0 μB/f.u. Its formation enthalpy at 0 K is 0.297 eV/atom. The value obtained for the total energy is -2.2554 eV per atom.

The following is a DFT calculation (GGA-PBE) of a relaxed MgGa5 crystal.

It has space group R32 (No. 155, hexagonal axes), with a = 5.1658 Å, b = 5.1658 Å, c = 14.5599 Å, α = 90.00°, β = 90.00° and γ = 120.00°. The inequivalent atoms are Mg at (0.0000, 0.0000, 0.0000), Ga at (0.0000, 0.0000, 0.3342) and Ga at (0.0000, 0.6682, 0.5000).

Its formation enthalpy at 0 K is -0.029 eV/atom. The value obtained for the total energy is -2.8192 eV per atom.

The following is a DFT calculation (GGA-PBE) of a relaxed MgGa3 crystal.

It has space group Pmm2 (No. 25), with a = 3.271 Å, b = 4.586 Å, c = 5.147 Å, α = 90.00°, β = 90.00° and γ = 90.00°. The inequivalent atoms are Mg at (0.000, 0.000, 0.000), Ga at (0.000, 0.500, 0.651), Ga at (0.500, 0.000, 0.499) and Ga at (0.500, 0.500, 0.170).

Its formation enthalpy at 0 K is -0.054 eV/atom. The value obtained for the total energy is -2.7256 eV per atom.

The following is a DFT calculation (GGA-PBE) of a relaxed MgGa crystal.

It has space group P3m1 (No. 156), with a = 3.0643 Å, b = 3.0643 Å, c = 15.0017 Å, α = 90.00°, β = 90.00° and γ = 120.00°. The inequivalent atoms are Mg at (0.0000, 0.0000, 0.0000), Mg at (0.0000, 0.0000, 0.3258), Mg at (0.3333, 0.6667, 0.8214), Ga at (0.0000, 0.0000, 0.6586), Ga at (0.3333, 0.6667, 0.1615) and Ga at (0.3333, 0.6667, 0.4957).

The total magnetization is 0.0 μB/f.u. Its formation enthalpy at 0 K is -0.029 eV/atom. The value obtained for the total energy is -2.3434 eV per atom.